Entry 1:
## CsPO4 (PBE)

Data for crystalline CsPO4 at its relaxed geometry.

POSCAR file:
```
CsPO4
1.0
5.3207 0.0000 0.0000
0.0000 6.4230 0.0000
-2.4682 0.0000 7.7478
Cs P O
2 2 8
Direct
0.2387 0.2500 0.2575
0.7613 0.7500 0.7425
0.2765 0.2500 0.7606
0.7235 0.7500 0.2394
0.0169 0.2500 0.6080
0.2739 0.0505 0.8660
0.2739 0.4495 0.8660
0.4919 0.7500 0.3153
0.5081 0.2500 0.6847
0.7261 0.5505 0.1340
0.7261 0.9495 0.1340
0.9831 0.7500 0.3920
```

## Properties
Calculated total energy = -5.929 eV/atom
Distance to the lowest polymorph of the same formula = 0.000 eV per atom
Magnetization = 2.00 μB/f.u.
Energy of formation from the pure elements = -2037 meV per atom

Entry 2:
## KNaH6PtC4N4O3 (PBE)

Data for crystalline KNaH6PtC4N4O3 at its relaxed geometry.

POSCAR file:
```
KNaH6PtC4N4O3
1.0
6.5033 -6.9077 0.0000
6.5033 6.9077 0.0000
-2.7615 0.0000 5.9212
K Na H Pt C N O
2 2 12 2 8 8 6
Direct
0.2402 0.7598 0.5000
0.7598 0.2402 0.0000
0.6363 0.8232 0.9710
0.8232 0.6363 0.4710
0.0565 0.8629 0.8602
0.0878 0.7048 0.8598
0.4144 0.7061 0.1392
0.4240 0.8773 0.1948
0.6276 0.8469 0.5291
0.7048 0.0878 0.3598
0.7061 0.4144 0.6392
0.7888 0.9306 0.6777
0.8469 0.6276 0.0291
0.8629 0.0565 0.3602
0.8773 0.4240 0.6948
0.9306 0.7888 0.1777
0.2731 0.2805 0.4830
0.2805 0.2731 0.9830
0.0756 0.1560 0.8445
0.0871 0.3714 0.4424
0.1560 0.0756 0.3445
0.1963 0.4622 0.0185
0.3714 0.0871 0.9424
0.3914 0.4840 0.6314
0.4622 0.1963 0.5185
0.4840 0.3914 0.1314
0.0878 0.9544 0.2680
0.1504 0.5758 0.0363
0.4289 0.9799 0.9182
0.4605 0.6044 0.7220
0.5758 0.1504 0.5363
0.6044 0.4605 0.2220
0.9544 0.0878 0.7680
0.9799 0.4289 0.4182
0.0534 0.7638 0.7575
0.4658 0.8002 0.2555
0.7144 0.8450 0.6546
0.7638 0.0534 0.2575
0.8002 0.4658 0.7555
0.8450 0.7144 0.1546
```

## Properties
Calculated total energy = -6.244 eV/atom
Magnetization = 0.00 μB/f.u.
Energy of formation from the pure elements = -648 meV per atom

Entry 3:
## GdDyIn2 (PBE)

Data for crystalline GdDyIn2 at its relaxed geometry.

POSCAR file:
```
GdDyIn2
1.0
0.0000 3.8837 3.8837
3.8837 0.0000 3.8837
3.8837 3.8837 0.0000
Gd Dy In
1 1 2
Direct
0.0000 0.0000 0.0000
0.5000 0.5000 0.5000
0.2500 0.2500 0.2500
0.7500 0.7500 0.7500
```

## Properties
Calculated total energy = -6.495 eV/atom
Energy of formation from the pure elements = -448 meV per atom